# MgAg3 | Materials Project | PBE | optimized geometry
# E_tot, eV/atom: -2.6863
# Calculated formation energy, eV per atom: -0.162
data_MgAg3
_chemical_formula_sum 'Mg2 Ag6'
_cell_length_a 5.8806
_cell_length_b 5.8806
_cell_length_c 4.8330
_cell_angle_alpha 90.00
_cell_angle_beta 90.00
_cell_angle_gamma 120.00
_symmetry_space_group_name_H-M 'P 63/m m c'
_symmetry_Int_Tables_number 194
_symmetry_space_group_name_Hall '-P 6c 2c'
loop_
_atom_site_label
_atom_site_fract_x
_atom_site_fract_y
_atom_site_fract_z
Mg1 0.3333 0.6667 0.2500
Ag1 0.1668 0.3335 0.7500